1.
VASP calculation (PBE-GGA) on a geometry-optimized Li3AlGeO5 structure.

POSCAR file:
```
Li3AlGeO5
1.0
-4.261 2.474 0.467
0.504 -0.157 5.430
8.007 13.855 -0.342
Li Al Ge O
12 4 4 20
direct
0.490 0.321 0.401
0.990 0.679 0.599
0.990 0.179 0.901
0.490 0.821 0.099
0.493 0.838 0.503
0.993 0.162 0.497
0.993 0.662 0.003
0.493 0.338 0.997
0.491 0.836 0.699
0.991 0.164 0.301
0.991 0.664 0.199
0.491 0.336 0.801
0.490 0.324 0.202
0.990 0.676 0.798
0.990 0.176 0.702
0.490 0.824 0.298
0.995 0.161 0.097
0.495 0.839 0.903
0.495 0.339 0.597
0.995 0.661 0.403
0.584 0.137 0.288
0.131 0.811 0.890
0.131 0.311 0.610
0.631 0.189 0.110
0.095 0.316 0.008
0.595 0.684 0.992
0.595 0.184 0.508
0.095 0.816 0.492
0.091 0.854 0.103
0.591 0.146 0.897
0.591 0.646 0.603
0.091 0.354 0.397
0.128 0.314 0.191
0.628 0.686 0.809
0.628 0.186 0.691
0.128 0.814 0.309
0.084 0.363 0.788
0.584 0.637 0.212
0.631 0.689 0.390
0.084 0.863 0.712
```

Summary:
Space-group type: Pna2_1 (33)

---

2.
VASP calculation (PBE-GGA) on a geometry-optimized MgTe2Mo2W2Se4S2 structure.

POSCAR file:
```
MgTe2Mo2W2Se4S2
1.0
3.338 0.000 -0.006
-1.669 2.891 0.006
-0.069 0.039 44.988
Mg Te Mo W Se S
1 2 2 2 4 2
direct
0.667 0.333 0.567
0.665 0.335 0.052
0.668 0.332 0.136
0.333 0.667 0.094
0.667 0.333 0.282
0.333 0.667 0.464
0.664 0.336 0.667
0.335 0.665 0.319
0.665 0.335 0.427
0.667 0.333 0.502
0.333 0.667 0.245
0.332 0.668 0.700
0.330 0.670 0.633
```

Summary:
Space-group type: Cm (8)

---

3.
VASP calculation (PBE-GGA) on a geometry-optimized TmTl3 structure.

POSCAR file:
```
TmTl3
1.0
-3.679 -1.994 2.267
3.010 -2.141 3.001
-0.237 3.753 2.916
Tm Tl
1 3
direct
0.000 0.000 0.000
0.500 0.500 0.000
0.500 0.000 0.500
0.000 0.500 0.500
```

Summary:
Space-group type: Pm-3m (221)

---

4.
VASP calculation (PBE-GGA) on a geometry-optimized PmYRh2 structure.

POSCAR file:
```
PmYRh2
1.0
0.000 3.485 3.485
3.485 0.000 3.485
3.485 3.485 0.000
Pm Y Rh
1 1 2
direct
0.500 0.500 0.500
0.000 0.000 0.000
0.250 0.250 0.250
0.750 0.750 0.750
```

Summary:
Space-group type: Fm-3m (225)

---

5.
VASP calculation (PBE-GGA) on a geometry-optimized SnS structure.

POSCAR file:
```
SnS
1.0
-2.926 -2.962 0.000
-2.926 2.962 0.000
0.000 0.000 -11.236
Sn S
2 2
direct
0.743 0.757 0.126
0.243 0.257 0.874
0.281 0.219 0.103
0.781 0.719 0.897
```

Summary:
Space-group type: Aem2 (39)
Maximum piezoelectric response: 1.83 C/m²

---

6.
VASP calculation (PBE-GGA) on a geometry-optimized LiCuPO4 structure.

POSCAR file:
```
LiCuPO4
1.0
5.657 0.000 0.000
0.000 7.595 0.000
0.000 0.000 8.030
Li Cu P O
4 4 4 16
direct
0.715 0.950 0.769
0.215 0.550 0.269
0.715 0.450 0.731
0.215 0.050 0.231
0.219 0.220 0.579
0.719 0.280 0.079
0.219 0.720 0.921
0.719 0.780 0.421
0.724 0.191 0.449
0.224 0.309 0.949
0.724 0.691 0.051
0.224 0.809 0.551
0.686 0.008 0.535
0.485 0.288 0.430
0.848 0.169 0.277
0.884 0.300 0.570
0.384 0.200 0.070
0.348 0.331 0.777
0.985 0.212 0.930
0.186 0.492 0.035
0.686 0.508 0.965
0.485 0.788 0.070
0.848 0.669 0.223
0.884 0.800 0.930
0.384 0.700 0.430
0.348 0.831 0.723
0.985 0.712 0.570
0.186 0.992 0.465
```

Summary:
Space-group type: Pna2_1 (33)

---

| no. | DFT total energy (eV for the cell shown) |
| --- | --- |
| 1 | -246.90 |
| 2 | -83.80 |
| 3 | -12.28 |
| 4 | -28.98 |
| 5 | -17.86 |
| 6 | -173.64 |